Record 1
# ScIn2

An optimized crystal structure of ScIn2 (meta-GGA r2SCAN, Materials Project).

Properties
The calculated density comes out at 6.70 g/cm3. The calculation puts the formation energy at -0.463 eV per atom. Its space group is Cmmm.

a = 4.468 Å, b = 4.459 Å, c = 7.185 Å
α = 90.00°, β = 108.12°, γ = 90.00°
Positions (direct):
Sc 0.844 0.500 0.687
Sc 0.156 0.500 0.313
In 0.676 0.000 0.352
In 0.324 0.000 0.648
In 0.500 0.500 0.000
In 0.000 0.000 0.000

Record 2
# InSe

An optimized crystal structure of InSe (meta-GGA r2SCAN, Materials Project).

Properties
The calculated density comes out at 5.27 g/cm3. The calculation puts the formation energy at -0.676 eV per atom. Its space group is R3m.

a = 8.920 Å, b = 8.920 Å, c = 8.920 Å
α = 26.22°, β = 26.22°, γ = 26.22°
Positions (direct):
In 0.110 0.110 0.110
In 0.002 0.002 0.002
Se 0.620 0.620 0.620
Se 0.826 0.826 0.826

Record 3
# InSe

An optimized crystal structure of InSe (meta-GGA r2SCAN, Materials Project).

Properties
The calculated density comes out at 5.03 g/cm3. The calculation puts the formation energy at -0.675 eV per atom. Its space group is P-6m2.

a = 4.047 Å, b = 4.047 Å, c = 18.052 Å
α = 90.00°, β = 90.00°, γ = 120.00°
Positions (direct):
In 0.333 0.667 0.577
In 0.333 0.667 0.423
In 0.667 0.333 0.923
In 0.667 0.333 0.077
Se 0.000 0.000 0.853
Se 0.000 0.000 0.147
Se 0.667 0.333 0.647
Se 0.667 0.333 0.353

Record 4
# InSe

An optimized crystal structure of InSe (meta-GGA r2SCAN, Materials Project).

Properties
The calculated density comes out at 5.22 g/cm3. The calculation puts the formation energy at -0.677 eV per atom. Its space group is P6_3/mmc.

a = 4.042 Å, b = 4.042 Å, c = 17.428 Å
α = 90.00°, β = 90.00°, γ = 120.00°
Positions (direct):
In 0.333 0.667 0.330
In 0.667 0.333 0.830
In 0.667 0.333 0.670
In 0.333 0.667 0.170
Se 0.333 0.667 0.597
Se 0.667 0.333 0.097
Se 0.667 0.333 0.403
Se 0.333 0.667 0.903

Record 5
# InSe

An optimized crystal structure of InSe (meta-GGA r2SCAN, Materials Project).

Properties
The calculated density comes out at 5.63 g/cm3. The calculation puts the formation energy at -0.646 eV per atom.

a = 4.109 Å, b = 5.073 Å, c = 11.016 Å
α = 95.81°, β = 90.00°, γ = 90.00°
Positions (direct):
In 0.500 0.341 0.388
In 0.500 0.659 0.612
In 0.000 0.159 0.112
In 0.000 0.841 0.888
Se 0.500 0.492 0.161
Se 0.500 0.508 0.839
Se 0.000 0.008 0.339
Se 0.000 0.992 0.661

Record 6
# Sm3InSe6

An optimized crystal structure of Sm3InSe6 (meta-GGA r2SCAN, Materials Project).

Properties
The calculated density comes out at 6.78 g/cm3. The calculation puts the formation energy at -1.823 eV per atom. Its space group is Pnnm.

a = 4.079 Å, b = 14.285 Å, c = 17.482 Å
α = 90.00°, β = 90.00°, γ = 90.00°
Positions (direct):
Sm 0.500 0.749 0.606
Sm 0.500 0.251 0.394
Sm 0.000 0.249 0.894
Sm 0.000 0.751 0.106
Sm 0.500 0.960 0.776
Sm 0.500 0.040 0.224
Sm 0.000 0.460 0.724
Sm 0.000 0.540 0.276
Sm 0.500 0.188 0.646
Sm 0.500 0.812 0.354
Sm 0.000 0.688 0.854
Sm 0.000 0.312 0.146
In 0.500 0.500 0.500
In 0.000 0.000 0.000
In 0.500 0.500 0.000
In 0.000 0.000 0.500
Se 0.500 0.978 0.604
Se 0.500 0.022 0.396
Se 0.000 0.478 0.896
Se 0.000 0.522 0.104
Se 0.500 0.095 0.914
Se 0.500 0.905 0.086
Se 0.000 0.595 0.586
Se 0.000 0.405 0.414
Se 0.500 0.309 0.020
Se 0.500 0.691 0.980
Se 0.000 0.809 0.480
Se 0.000 0.191 0.520
Se 0.500 0.318 0.786
Se 0.500 0.682 0.214
Se 0.000 0.818 0.714
Se 0.000 0.182 0.286
Se 0.000 0.112 0.748
Se 0.000 0.888 0.252
Se 0.500 0.612 0.752
Se 0.500 0.388 0.248
Se 0.000 0.112 0.116
Se 0.000 0.888 0.884
Se 0.500 0.612 0.384
Se 0.500 0.388 0.616

Record 7
# SrIn2Se4

An optimized crystal structure of SrIn2Se4 (meta-GGA r2SCAN, Materials Project).

Properties
The calculated density comes out at 5.02 g/cm3. The calculation puts the formation energy at -1.207 eV per atom. Its space group is Fddd.

a = 15.683 Å, b = 13.020 Å, c = 13.004 Å
α = 74.13°, β = 53.00°, γ = 52.90°
Positions (direct):
Sr 0.750 0.750 0.750
Sr 0.500 0.500 0.500
Sr 0.250 0.250 0.250
Sr 0.000 0.000 0.000
Sr 0.003 0.497 0.003
Sr 0.497 0.003 0.497
Sr 0.247 0.753 0.247
Sr 0.753 0.247 0.753
In 0.267 0.092 0.982
In 0.659 0.982 0.092
In 0.982 0.659 0.267
In 0.092 0.267 0.659
In 0.983 0.158 0.268
In 0.591 0.268 0.158
In 0.268 0.591 0.983
In 0.158 0.983 0.591
In 0.510 0.762 0.238
In 0.489 0.238 0.762
In 0.238 0.489 0.510
In 0.762 0.510 0.489
In 0.740 0.488 0.012
In 0.761 0.012 0.488
In 0.012 0.761 0.740
In 0.488 0.740 0.761
Se 0.768 0.807 0.479
Se 0.946 0.479 0.807
Se 0.479 0.946 0.768
Se 0.807 0.768 0.946
Se 0.482 0.443 0.771
Se 0.304 0.771 0.443
Se 0.771 0.304 0.482
Se 0.443 0.482 0.304
Se 0.977 0.458 0.276
Se 0.289 0.276 0.458
Se 0.276 0.289 0.977
Se 0.458 0.977 0.289
Se 0.273 0.792 0.974
Se 0.961 0.974 0.792
Se 0.974 0.961 0.273
Se 0.792 0.273 0.961
Se 0.713 0.036 0.216
Se 0.034 0.216 0.037
Se 0.216 0.034 0.713
Se 0.036 0.713 0.034
Se 0.537 0.214 0.034
Se 0.216 0.034 0.213
Se 0.034 0.216 0.537
Se 0.214 0.537 0.216
Se 0.713 0.537 0.715
Se 0.035 0.715 0.537
Se 0.715 0.035 0.713
Se 0.538 0.713 0.035
Se 0.537 0.713 0.535
Se 0.215 0.535 0.713
Se 0.535 0.215 0.537
Se 0.712 0.537 0.215

Record 8
# TaInSe2

An optimized crystal structure of TaInSe2 (meta-GGA r2SCAN, Materials Project).

Properties
The calculated density comes out at 8.27 g/cm3. The calculation puts the formation energy at -0.713 eV per atom. Its space group is P-6m2.

a = 3.462 Å, b = 3.462 Å, c = 8.771 Å
α = 90.00°, β = 90.00°, γ = 120.00°
Positions (direct):
Ta 0.000 0.000 0.000
In 0.000 0.000 0.500
Se 0.667 0.333 0.190
Se 0.667 0.333 0.810

Record 9
# TaInSe2

An optimized crystal structure of TaInSe2 (meta-GGA r2SCAN, Materials Project).

Properties
The calculated density comes out at 7.86 g/cm3. The calculation puts the formation energy at -0.738 eV per atom. Its space group is P-6m2.

a = 3.441 Å, b = 3.441 Å, c = 9.348 Å
α = 90.00°, β = 90.00°, γ = 120.00°
Positions (direct):
Ta 0.333 0.666 0.500
In 0.000 0.001 0.000
Se 0.000 0.000 0.677
Se 0.000 0.000 0.323

Record 10
# YbIn2Se4

An optimized crystal structure of YbIn2Se4 (meta-GGA r2SCAN, Materials Project).

Properties
The calculated density comes out at 6.65 g/cm3. The calculation puts the formation energy at -0.988 eV per atom. Its space group is Cccm.

a = 6.081 Å, b = 6.081 Å, c = 10.297 Å
α = 90.00°, β = 90.00°, γ = 109.49°
Positions (direct):
Yb 0.500 0.500 0.250
Yb 0.500 0.500 0.750
In 0.787 0.181 0.500
In 0.213 0.819 0.500
In 0.819 0.213 0.000
In 0.181 0.787 0.000
Se 0.751 0.638 0.500
Se 0.249 0.362 0.500
Se 0.362 0.249 0.000
Se 0.638 0.751 0.000
Se 0.000 0.500 0.202
Se 0.500 0.000 0.298
Se 0.000 0.500 0.798
Se 0.500 0.000 0.702

Record 11
# ZnIn2Se4

An optimized crystal structure of ZnIn2Se4 (meta-GGA r2SCAN, Materials Project).

Properties
The calculated density comes out at 5.29 g/cm3. The calculation puts the formation energy at -0.752 eV per atom. Its space group is I-4.

a = 5.743 Å, b = 5.743 Å, c = 7.093 Å
α = 113.88°, β = 113.88°, γ = 90.00°
Positions (direct):
Zn 0.000 0.000 0.000
In 0.500 0.500 0.000
In 0.250 0.750 0.500
Se 0.391 0.349 0.260
Se 0.869 0.912 0.260
Se 0.088 0.609 0.740
Se 0.651 0.131 0.740

Record 12
# ZnIn2Se4

An optimized crystal structure of ZnIn2Se4 (meta-GGA r2SCAN, Materials Project).

Properties
The calculated density comes out at 5.26 g/cm3. The calculation puts the formation energy at -0.752 eV per atom. Its space group is I-42m.

a = 5.809 Å, b = 5.809 Å, c = 7.040 Å
α = 114.37°, β = 114.37°, γ = 90.01°
Positions (direct):
Zn 0.000 0.000 0.000
In 0.250 0.750 0.500
In 0.750 0.250 0.500
Se 0.150 0.150 0.781
Se 0.369 0.850 0.219
Se 0.631 0.631 0.781
Se 0.850 0.369 0.219

Record 13
# InSiTe3

An optimized crystal structure of InSiTe3 (meta-GGA r2SCAN, Materials Project).

Properties
The calculated density comes out at 5.31 g/cm3. The calculation puts the formation energy at -0.306 eV per atom. Its space group is P-31m.

a = 7.120 Å, b = 7.120 Å, c = 7.489 Å
α = 90.00°, β = 90.00°, γ = 120.00°
Positions (direct):
In 0.667 0.333 0.500
In 0.333 0.667 0.500
Si 0.000 0.000 0.346
Si 0.000 0.000 0.654
Te 0.000 0.663 0.247
Te 0.337 0.337 0.247
Te 0.000 0.337 0.753
Te 0.337 0.000 0.753
Te 0.663 0.000 0.247
Te 0.663 0.663 0.753

Record 14
# Sm3In5

An optimized crystal structure of Sm3In5 (meta-GGA r2SCAN, Materials Project).

Properties
The calculated density comes out at 7.91 g/cm3. The calculation puts the formation energy at -0.653 eV per atom. Its space group is Cmcm.

a = 6.480 Å, b = 6.480 Å, c = 10.464 Å
α = 90.00°, β = 90.00°, γ = 101.48°
Positions (direct):
Sm 0.131 0.131 0.250
Sm 0.869 0.869 0.750
Sm 0.702 0.298 0.000
Sm 0.702 0.298 0.500
Sm 0.298 0.702 0.000
Sm 0.298 0.702 0.500
In 0.006 0.579 0.250
In 0.421 0.994 0.750
In 0.994 0.421 0.750
In 0.579 0.006 0.250
In 0.189 0.189 0.952
In 0.811 0.811 0.048
In 0.189 0.189 0.548
In 0.811 0.811 0.452
In 0.513 0.513 0.250
In 0.487 0.487 0.750

Record 15
# Sm2In3Sn3

An optimized crystal structure of Sm2In3Sn3 (meta-GGA r2SCAN, Materials Project).

Properties
The calculated density comes out at 8.01 g/cm3. The calculation puts the formation energy at -0.530 eV per atom. Its space group is Pmmm.

a = 4.738 Å, b = 4.814 Å, c = 9.097 Å
α = 90.00°, β = 90.00°, γ = 90.00°
Positions (direct):
Sm 0.000 0.000 0.247
Sm 0.000 0.000 0.753
In 0.500 0.500 0.252
In 0.500 0.500 0.748
In 0.000 0.500 0.500
Sn 0.000 0.500 0.000
Sn 0.500 0.000 0.500
Sn 0.500 0.000 0.000

Record 16
# Sm2ZnIn

An optimized crystal structure of Sm2ZnIn (meta-GGA r2SCAN, Materials Project).

Properties
The calculated density comes out at 7.62 g/cm3. The calculation puts the formation energy at -0.483 eV per atom. Its space group is Fm-3m.

a = 5.292 Å, b = 5.292 Å, c = 5.292 Å
α = 60.00°, β = 60.00°, γ = 60.00°
Positions (direct):
Sm 0.250 0.250 0.250
Sm 0.750 0.750 0.750
Zn 0.000 0.000 0.000
In 0.500 0.500 0.500

Record 17
# SmZnIn

An optimized crystal structure of SmZnIn (meta-GGA r2SCAN, Materials Project).

Properties
The calculated density comes out at 7.73 g/cm3. The calculation puts the formation energy at -0.559 eV per atom. Its space group is P6_3/mmc.

a = 4.658 Å, b = 4.658 Å, c = 7.558 Å
α = 90.00°, β = 90.00°, γ = 119.99°
Positions (direct):
Sm 0.000 0.000 0.000
Sm 0.000 0.000 0.500
Zn 0.333 0.667 0.750
Zn 0.667 0.333 0.250
In 0.333 0.667 0.250
In 0.667 0.333 0.750

Record 18
# InSn3

An optimized crystal structure of InSn3 (meta-GGA r2SCAN, Materials Project).

Properties
The calculated density comes out at 7.26 g/cm3. The calculation puts the formation energy at 0.177 eV per atom. Its space group is P6_3/mmc.

a = 6.625 Å, b = 6.625 Å, c = 5.667 Å
α = 90.00°, β = 90.00°, γ = 120.00°
Positions (direct):
In 0.333 0.667 0.750
In 0.667 0.333 0.250
Sn 0.165 0.330 0.250
Sn 0.670 0.835 0.250
Sn 0.165 0.835 0.250
Sn 0.835 0.670 0.750
Sn 0.330 0.165 0.750
Sn 0.835 0.165 0.750

Record 19
# InSn3

An optimized crystal structure of InSn3 (meta-GGA r2SCAN, Materials Project).

Properties
The calculated density comes out at 7.26 g/cm3. The calculation puts the formation energy at 0.178 eV per atom. Its space group is P-6m2.

a = 3.306 Å, b = 3.306 Å, c = 11.378 Å
α = 90.00°, β = 90.00°, γ = 120.00°
Positions (direct):
In 0.667 0.333 0.000
Sn 0.667 0.333 0.500
Sn 0.333 0.667 0.253
Sn 0.333 0.667 0.747

Record 20
# InSn3

An optimized crystal structure of InSn3 (meta-GGA r2SCAN, Materials Project).

Properties
The calculated density comes out at 7.20 g/cm3. The calculation puts the formation energy at 0.182 eV per atom. Its space group is Pm-3m.

a = 4.772 Å, b = 4.772 Å, c = 4.772 Å
α = 90.00°, β = 90.00°, γ = 90.00°
Positions (direct):
In 0.000 0.000 0.000
Sn 0.500 0.000 0.500
Sn 0.000 0.500 0.500
Sn 0.500 0.500 0.000

Record 21
# InSnTe2

An optimized crystal structure of InSnTe2 (meta-GGA r2SCAN, Materials Project).

Properties
The calculated density comes out at 6.50 g/cm3. The calculation puts the formation energy at -0.313 eV per atom. Its space group is R-3m.

a = 7.674 Å, b = 7.674 Å, c = 7.674 Å
α = 33.82°, β = 33.82°, γ = 33.82°
Positions (direct):
In 0.000 0.000 0.000
Sn 0.500 0.500 0.500
Te 0.251 0.251 0.251
Te 0.749 0.749 0.749

Record 22
# TmIn2Sn

An optimized crystal structure of TmIn2Sn (meta-GGA r2SCAN, Materials Project).

Properties
The calculated density comes out at 8.76 g/cm3. The calculation puts the formation energy at -0.437 eV per atom. Its space group is P4/mmm.

a = 4.533 Å, b = 4.533 Å, c = 4.771 Å
α = 90.00°, β = 90.00°, γ = 90.00°
Positions (direct):
Tm 0.000 0.000 0.000
In 0.500 0.000 0.500
In 0.000 0.500 0.500
Sn 0.500 0.500 0.000